1.
GdCo12B6: optimized geometry, PBE.

```
19
Lattice="3.664 -4.697 0.000 3.664 4.697 0.000 -2.356 0.000 5.471" Properties=species:S:1:pos:R:3 pbc="T T T"
Co 2.900 0.000 1.019
Co 4.699 -1.727 0.724
Co 3.694 -1.265 2.979
B 4.854 0.000 1.767
Co 4.699 1.727 0.724
B 2.787 2.081 1.280
Gd 0.000 0.000 0.000
B 2.186 -2.081 4.192
B 2.787 -2.081 1.280
B 2.186 2.081 4.192
Co 3.694 1.265 2.979
Co 2.486 -3.453 2.736
Co 0.273 1.727 4.747
Co 0.273 -1.727 4.747
Co 2.072 0.000 4.453
B 0.119 0.000 3.704
Co 2.486 3.453 2.736
Co 1.278 -1.265 2.493
Co 1.278 1.265 2.493
```

Calculated values
Space group ... R-3m
E_tot ... -7.688 eV per atom

2.
SrTl2Pd: optimized geometry, PBE.

```
8
Lattice="4.547 0.000 0.000 -2.274 5.563 0.000 0.000 0.000 8.457" Properties=species:S:1:pos:R:3 pbc="T T T"
Tl 2.274 3.920 0.430
Sr 2.274 0.725 2.114
Pd 0.000 3.124 2.114
Sr 0.000 4.838 6.343
Tl 0.000 1.643 4.659
Pd 2.274 2.439 6.343
Tl 0.000 1.643 8.027
Tl 2.274 3.920 3.798
```

Calculated values
Space group ... Cmcm
E_tot ... -3.338 eV per atom

3.
Li3Y4Ti4S4O10: optimized geometry, PBE.

```
25
Lattice="0.907 -11.232 1.007 3.336 9.860 -4.433 3.646 0.670 4.228" Properties=species:S:1:pos:R:3 pbc="T T T"
Ti 4.010 2.046 1.858
Y 1.585 -3.619 1.090
S 4.589 3.470 -2.617
Y 6.304 2.918 -0.288
O 4.929 8.196 -1.803
Y 5.511 -3.969 1.488
O 2.352 1.312 -2.228
O 1.891 -2.684 -1.198
O 4.177 1.666 -0.119
Li 2.122 -0.686 -1.713
O 3.092 7.743 -3.887
S 3.300 -4.172 3.418
Ti 4.312 1.010 -2.025
Ti 3.879 -2.748 -1.056
O 4.088 -0.844 -1.447
O 2.960 -8.897 2.605
Y 2.378 3.267 -0.686
O 3.712 -2.368 0.921
Li 3.944 -0.351 0.401
Ti 3.577 -1.712 2.827
S 4.296 4.484 1.186
O 1.151 -9.115 0.461
O 3.800 0.142 2.248
S 3.593 -5.186 -0.384
Li 1.823 0.335 2.114
```

Calculated values
Total moment ... 2.33 μB per formula unit
Corrected total energy (MP2020 scheme) ... -8.157 eV/atom
Space group ... C2/m
E_tot ... -7.802 eV per atom